The following is a DFT calculation (GGA-PBE) of a relaxed Te2MoW2Se2S2 crystal.

Values from the calculation:
The value obtained for the distance to the lowest polymorph of the same formula is 0.049 eV per atom. The calculation puts the energy of formation from the pure elements at -0.56 eV/atom. The value obtained for the magnetization is 0.0003 μB per atom. The space group is P3m1 (156).

Lattice parameters (Å, degrees): 3.352 3.352 31.021 90.00 90.00 120.00
Atoms (fractional coordinates):
Te (0.000, 0.000, 0.000)
Te (0.000, 0.000, 0.123)
Mo (0.667, 0.333, 0.599)
W (0.000, 0.000, 0.830)
W (0.667, 0.333, 0.061)
Se (0.667, 0.333, 0.776)
Se (0.667, 0.333, 0.884)
S (0.000, 0.000, 0.550)
S (0.000, 0.000, 0.648)

---

The following is a DFT calculation (GGA-PBE) of a relaxed SiC crystal.

Values from the calculation:
The value obtained for the distance to the lowest polymorph of the same formula is 0.743 eV per atom. The calculation puts the energy of formation from the pure elements at 0.54 eV/atom. The value obtained for the magnetization is 0.0008 μB per atom. The space group is Fm-3m (225).

Lattice parameters (Å, degrees): 2.864 2.864 2.864 60.00 60.00 60.00
Atoms (fractional coordinates):
Si (0.000, 0.000, 0.000)
C (0.500, 0.500, 0.500)

---

The following is a DFT calculation (GGA-PBE) of a relaxed TbGa2Co3 crystal.

Values from the calculation:
The value obtained for the distance to the lowest polymorph of the same formula is 0.006 eV per atom. The calculation puts the energy of formation from the pure elements at -0.38 eV/atom. The value obtained for the magnetization is 0.2443 μB per atom. The space group is P-62m (189).

Lattice parameters (Å, degrees): 8.747 8.747 4.051 90.00 90.00 120.00
Atoms (fractional coordinates):
Tb (0.000, 0.000, 0.000)
Tb (0.333, 0.667, 0.500)
Tb (0.667, 0.333, 0.500)
Ga (0.000, 0.270, 0.500)
Ga (0.000, 0.504, 0.000)
Ga (0.270, 0.000, 0.500)
Ga (0.496, 0.496, 0.000)
Ga (0.504, 0.000, 0.000)
Ga (0.730, 0.730, 0.500)
Co (0.000, 0.704, 0.500)
Co (0.180, 0.819, 0.000)
Co (0.181, 0.361, 0.000)
Co (0.296, 0.296, 0.500)
Co (0.361, 0.181, 0.000)
Co (0.639, 0.820, 0.000)
Co (0.704, 0.000, 0.500)
Co (0.819, 0.180, 0.000)
Co (0.820, 0.639, 0.000)

---

Among the records above, which one has the lowest energy of formation from the pure elements?
Te2MoW2Se2S2

---

Repeat the second record exactly.
The following is a DFT calculation (GGA-PBE) of a relaxed SiC crystal.

Values from the calculation:
The value obtained for the distance to the lowest polymorph of the same formula is 0.743 eV per atom. The calculation puts the energy of formation from the pure elements at 0.54 eV/atom. The value obtained for the magnetization is 0.0008 μB per atom. The space group is Fm-3m (225).

Lattice parameters (Å, degrees): 2.864 2.864 2.864 60.00 60.00 60.00
Atoms (fractional coordinates):
Si (0.000, 0.000, 0.000)
C (0.500, 0.500, 0.500)